1.
First-principles (PBE-GGA) data for a relaxed Na10Sc6Nb2Si7S5O48 crystal, as listed in the Materials Project.

Cell: 9.070 15.716 22.723 Å, 90.07 90.03 90.01°
Atoms (fractional coordinates):
1 Na 0.000 0.000 0.000
2 Na 0.001 0.699 0.328
3 Na 0.010 0.031 0.652
4 Na 0.010 0.666 0.656
5 Na 0.132 0.198 0.828
6 Na 0.134 0.499 0.499
7 Na 0.138 0.858 0.494
8 Na 0.171 0.851 0.153
9 Na 0.304 0.028 0.078
10 Na 0.307 0.337 0.410
11 Na 0.311 0.677 0.742
12 Na 0.314 0.674 0.241
13 Na 0.322 0.030 0.577
14 Na 0.332 0.348 0.911
15 Na 0.431 0.849 0.657
16 Na 0.493 0.853 0.988
17 Na 0.498 0.828 0.325
18 Na 0.513 0.197 0.325
19 Na 0.621 0.699 0.827
20 Na 0.636 0.328 0.826
21 Na 0.641 0.352 0.488
22 Na 0.644 0.665 0.152
23 Na 0.800 0.848 0.411
24 Na 0.801 0.180 0.740
25 Na 0.821 0.519 0.574
26 Na 0.821 0.520 0.076
27 Na 0.823 0.178 0.240
28 Na 0.823 0.839 0.909
29 Na 0.962 0.348 0.652
30 Na 0.994 0.356 0.991
31 Sc 0.300 0.338 0.554
32 Sc 0.302 0.683 0.592
33 Sc 0.312 0.685 0.086
34 Sc 0.313 0.016 0.221
35 Sc 0.321 0.688 0.887
36 Sc 0.323 0.689 0.388
37 Sc 0.324 0.015 0.720
38 Sc 0.324 0.344 0.051
39 Sc 0.324 0.351 0.259
40 Sc 0.811 0.188 0.586
41 Sc 0.811 0.189 0.888
42 Sc 0.811 0.513 0.221
43 Sc 0.812 0.188 0.386
44 Sc 0.815 0.511 0.722
45 Sc 0.820 0.846 0.550
46 Sc 0.821 0.850 0.760
47 Sc 0.833 0.183 0.092
48 Sc 0.834 0.839 0.054
49 Nb 0.301 0.352 0.762
50 Nb 0.326 0.017 0.923
51 Nb 0.334 0.010 0.427
52 Nb 0.799 0.511 0.927
53 Nb 0.809 0.516 0.423
54 Nb 0.834 0.853 0.262
55 Si 0.021 0.681 0.487
56 Si 0.108 0.850 0.655
57 Si 0.111 0.181 0.986
58 Si 0.164 0.198 0.658
59 Si 0.168 0.830 0.987
60 Si 0.171 0.498 0.654
61 Si 0.174 0.871 0.322
62 Si 0.468 0.867 0.819
63 Si 0.469 0.161 0.819
64 Si 0.469 0.828 0.491
65 Si 0.519 0.517 0.819
66 Si 0.521 0.183 0.488
67 Si 0.611 0.683 0.990
68 Si 0.613 0.017 0.318
69 Si 0.665 0.661 0.317
70 Si 0.667 0.367 0.320
71 Si 0.668 0.326 0.990
72 Si 0.961 0.370 0.823
73 Si 0.963 0.000 0.153
74 Si 0.966 0.330 0.487
75 Si 0.969 0.696 0.158
76 S 0.025 0.014 0.824
77 S 0.029 0.350 0.155
78 S 0.107 0.513 0.323
79 S 0.167 0.535 0.988
80 S 0.172 0.160 0.322
81 S 0.460 0.495 0.155
82 S 0.464 0.203 0.156
83 S 0.466 0.537 0.489
84 S 0.527 0.849 0.156
85 S 0.606 0.349 0.656
86 S 0.668 0.038 0.989
87 S 0.671 0.702 0.656
88 S 0.675 0.994 0.655
89 S 0.961 0.659 0.822
90 S 0.966 0.036 0.489
91 O 0.002 0.525 0.984
92 O 0.005 0.156 0.042
93 O 0.008 0.864 0.596
94 O 0.012 0.527 0.272
95 O 0.013 0.170 0.329
96 O 0.014 0.501 0.378
97 O 0.015 0.196 0.927
98 O 0.116 0.026 0.771
99 O 0.117 0.358 0.101
100 O 0.117 0.658 0.545
101 O 0.120 0.668 0.828
102 O 0.122 0.004 0.877
103 O 0.124 0.692 0.429
104 O 0.128 0.343 0.207
105 O 0.131 0.026 0.484
106 O 0.140 0.353 0.490
107 O 0.143 0.002 0.161
108 O 0.144 0.361 0.819
109 O 0.149 0.698 0.154
110 O 0.194 0.587 0.042
111 O 0.198 0.435 0.318
112 O 0.198 0.439 0.596
113 O 0.201 0.111 0.269
114 O 0.201 0.589 0.330
115 O 0.203 0.769 0.933
116 O 0.206 0.268 0.996
117 O 0.207 0.262 0.716
118 O 0.207 0.930 0.381
119 O 0.212 0.763 0.652
120 O 0.215 0.933 0.659
121 O 0.216 0.095 0.978
122 O 0.226 0.447 0.996
123 O 0.228 0.103 0.663
124 O 0.230 0.573 0.935
125 O 0.233 0.244 0.601
126 O 0.237 0.774 0.327
127 O 0.238 0.441 0.712
128 O 0.243 0.119 0.375
129 O 0.246 0.246 0.318
130 O 0.246 0.591 0.655
131 O 0.246 0.913 0.265
132 O 0.247 0.793 0.048
133 O 0.252 0.926 0.979
134 O 0.380 0.924 0.483
135 O 0.386 0.787 0.548
136 O 0.387 0.256 0.816
137 O 0.388 0.114 0.878
138 O 0.393 0.118 0.159
139 O 0.396 0.582 0.153
140 O 0.396 0.773 0.826
141 O 0.399 0.247 0.105
142 O 0.402 0.452 0.209
143 O 0.402 0.576 0.436
144 O 0.404 0.911 0.760
145 O 0.406 0.450 0.494
146 O 0.408 0.100 0.478
147 O 0.415 0.597 0.828
148 O 0.422 0.445 0.103
149 O 0.423 0.932 0.877
150 O 0.426 0.104 0.764
151 O 0.426 0.923 0.160
152 O 0.428 0.272 0.494
153 O 0.429 0.252 0.211
154 O 0.435 0.424 0.814
155 O 0.436 0.769 0.154
156 O 0.436 0.777 0.430
157 O 0.442 0.589 0.542
158 O 0.485 0.357 0.318
159 O 0.490 0.675 0.326
160 O 0.493 0.346 0.997
161 O 0.499 0.000 0.378
162 O 0.499 0.034 0.265
163 O 0.502 0.027 0.983
164 O 0.509 0.694 0.932
165 O 0.511 0.694 0.650
166 O 0.512 0.003 0.659
167 O 0.514 0.341 0.710
168 O 0.515 0.665 0.050
169 O 0.518 0.359 0.602
170 O 0.615 0.859 0.102
171 O 0.619 0.196 0.428
172 O 0.621 0.839 0.209
173 O 0.624 0.196 0.151
174 O 0.624 0.503 0.157
175 O 0.625 0.165 0.545
176 O 0.632 0.527 0.483
177 O 0.633 0.534 0.766
178 O 0.634 0.501 0.878
179 O 0.643 0.847 0.496
180 O 0.644 0.175 0.826
181 O 0.649 0.856 0.820
182 O 0.691 0.089 0.042
183 O 0.695 0.278 0.928
184 O 0.696 0.753 0.711
185 O 0.698 0.924 0.313
186 O 0.703 0.272 0.654
187 O 0.703 0.607 0.259
188 O 0.704 0.941 0.603
189 O 0.705 0.772 0.995
190 O 0.706 0.425 0.660
191 O 0.706 0.429 0.380
192 O 0.719 0.096 0.328
193 O 0.725 0.600 0.978
194 O 0.728 0.951 0.995
195 O 0.732 0.077 0.936
196 O 0.736 0.273 0.325
197 O 0.736 0.953 0.709
198 O 0.738 0.416 0.265
199 O 0.739 0.746 0.605
200 O 0.746 0.618 0.660
201 O 0.747 0.756 0.316
202 O 0.748 0.078 0.651
203 O 0.748 0.611 0.375
204 O 0.753 0.424 0.983
205 O 0.757 0.283 0.044
206 O 0.882 0.091 0.154
207 O 0.882 0.426 0.479
208 O 0.884 0.743 0.820
209 O 0.886 0.295 0.548
210 O 0.887 0.743 0.103
211 O 0.890 0.412 0.765
212 O 0.890 0.604 0.162
213 O 0.892 0.614 0.873
214 O 0.895 0.942 0.212
215 O 0.896 0.274 0.827
216 O 0.903 0.949 0.492
217 O 0.904 0.078 0.437
218 O 0.916 0.594 0.478
219 O 0.924 0.767 0.493
220 O 0.926 0.429 0.881
221 O 0.926 0.761 0.216
222 O 0.929 0.269 0.433
223 O 0.932 0.612 0.766
224 O 0.932 0.940 0.096
225 O 0.933 0.090 0.830
226 O 0.933 0.936 0.820
227 O 0.935 0.426 0.160
228 O 0.936 0.272 0.154
229 O 0.939 0.085 0.544
230 O 0.982 0.195 0.656
231 O 0.990 0.507 0.661
232 O 0.991 0.862 0.319
233 O 0.993 0.852 0.991
234 O 0.994 0.836 0.710

Summary:
Calculated density = 2.784 g cm⁻³
ΔH_f (0 K) = -2835 meV per atom
Total energy after the MP2020 corrections = -7.547 eV per atom
Total DFT energy (no corrections) = -7.1244 eV/atom
Space group = P1

2.
First-principles (PBE-GGA) data for a relaxed Na2Sc2Nb2Si3S3O24 crystal, as listed in the Materials Project.

Cell: 8.906 8.911 23.136 Å, 90.10 90.63 119.89°
Atoms (fractional coordinates):
1 Na 0.000 0.000 0.000
2 Na 0.001 0.012 0.503
3 Na 0.328 0.660 0.331
4 Na 0.334 0.678 0.836
5 Na 0.658 0.323 0.668
6 Na 0.660 0.347 0.160
7 Sc 0.310 0.654 0.478
8 Sc 0.317 0.667 0.974
9 Sc 0.642 0.319 0.811
10 Sc 0.646 0.346 0.308
11 Sc 0.986 0.985 0.139
12 Sc 0.988 0.014 0.641
13 Nb 0.317 0.678 0.683
14 Nb 0.327 0.660 0.177
15 Nb 0.639 0.321 0.521
16 Nb 0.645 0.349 0.016
17 Nb 0.975 0.991 0.854
18 Nb 0.985 0.000 0.349
19 Si 0.030 0.663 0.076
20 Si 0.033 0.377 0.578
21 Si 0.308 0.947 0.576
22 Si 0.311 0.368 0.075
23 Si 0.365 0.339 0.411
24 Si 0.366 0.041 0.911
25 Si 0.643 0.618 0.909
26 Si 0.694 0.708 0.243
27 Si 0.700 0.006 0.744
28 S 0.277 0.292 0.745
29 S 0.277 0.998 0.246
30 S 0.610 0.667 0.579
31 S 0.610 0.958 0.078
32 S 0.655 0.046 0.411
33 S 0.942 0.333 0.912
34 S 0.943 0.623 0.412
35 S 0.985 0.712 0.745
36 S 0.987 0.290 0.245
37 O 0.000 0.826 0.085
38 O 0.017 0.206 0.299
39 O 0.019 0.821 0.798
40 O 0.116 0.482 0.917
41 O 0.120 0.652 0.417
42 O 0.128 0.503 0.636
43 O 0.132 0.641 0.137
44 O 0.147 0.462 0.522
45 O 0.148 0.465 0.242
46 O 0.149 0.184 0.089
47 O 0.149 0.977 0.586
48 O 0.150 0.695 0.022
49 O 0.151 0.697 0.740
50 O 0.166 0.977 0.299
51 O 0.170 0.157 0.402
52 O 0.171 0.212 0.797
53 O 0.175 0.034 0.901
54 O 0.199 0.187 0.693
55 O 0.200 0.029 0.195
56 O 0.288 0.838 0.242
57 O 0.292 0.468 0.738
58 O 0.295 0.466 0.021
59 O 0.301 0.844 0.520
60 O 0.332 0.848 0.918
61 O 0.341 0.506 0.416
62 O 0.352 0.864 0.636
63 O 0.355 0.500 0.136
64 O 0.452 0.148 0.254
65 O 0.453 0.317 0.750
66 O 0.462 0.307 0.469
67 O 0.463 0.170 0.969
68 O 0.478 0.355 0.356
69 O 0.480 0.129 0.855
70 O 0.486 0.650 0.918
71 O 0.493 0.145 0.571
72 O 0.494 0.358 0.073
73 O 0.499 0.872 0.132
74 O 0.501 0.634 0.631
75 O 0.501 0.697 0.240
76 O 0.505 0.820 0.736
77 O 0.506 0.872 0.418
78 O 0.533 0.692 0.526
79 O 0.533 0.853 0.027
80 O 0.623 0.130 0.075
81 O 0.626 0.505 0.572
82 O 0.635 0.510 0.853
83 O 0.636 0.128 0.359
84 O 0.673 0.170 0.749
85 O 0.673 0.518 0.251
86 O 0.687 0.155 0.465
87 O 0.687 0.536 0.969
88 O 0.783 0.979 0.088
89 O 0.785 0.813 0.586
90 O 0.798 0.836 0.303
91 O 0.798 0.975 0.802
92 O 0.811 0.019 0.688
93 O 0.813 0.806 0.190
94 O 0.819 0.032 0.406
95 O 0.829 0.813 0.904
96 O 0.835 0.308 0.255
97 O 0.836 0.301 0.964
98 O 0.837 0.548 0.463
99 O 0.838 0.538 0.751
100 O 0.840 0.367 0.567
101 O 0.841 0.480 0.072
102 O 0.863 0.355 0.859
103 O 0.864 0.519 0.359
104 O 0.960 0.803 0.404
105 O 0.961 0.172 0.905
106 O 0.965 0.186 0.194
107 O 0.967 0.793 0.693
108 O 0.999 0.183 0.584

Summary:
Calculated density = 2.773 g cm⁻³
ΔH_f (0 K) = -2743 meV per atom
Total energy after the MP2020 corrections = -7.825 eV per atom
Total DFT energy (no corrections) = -7.3672 eV/atom
Space group = P1